No. 1
Here is a relaxed structure of Li2VO2F2 from the Materials Project. Energies are from PBE with a Hubbard U.

Results
- theoretical density (g/cm3) = 3.0
- energy of formation from the pure elements (eV/f.u.) = -19.414
- crystal system = orthorhombic
- corrected total energy (MP2020 scheme) (eV per atom) = -6.577
- raw total energy (eV per atom) = -6.006
- energy relative to the lowest polymorph listed for this composition (eV per atom) = 0.063
- SG = Imma, No. 74

a b c (Å): 5.9773 5.9773 5.9773
angles (deg): 122.48 120.66 87.31
With the nearest neighbours (Å) after each atom.
Fractional positions:
Li: 0.0000 0.0000 0.0000  4 F 2.03, 2 O 2.14
Li: 0.3793 0.6293 0.7500  2 F 1.94, 2 O 2.01
Li: 0.5000 0.0000 0.5000  4 F 2.03, 2 O 2.14
Li: 0.6207 0.3707 0.2500  2 F 1.94, 2 O 2.01
V: 0.0000 0.0000 0.5000  4 O 1.92, 2 F 2.03
V: 0.0000 0.5000 0.0000  4 O 1.92, 2 F 2.03
O: 0.2102 0.2465 0.9637  2 V 1.92, 2 Li 2.01-2.14
O: 0.2172 0.7535 0.4637  2 V 1.92, 2 Li 2.01-2.14
O: 0.7828 0.2465 0.5363  2 V 1.92, 2 Li 2.01-2.14
O: 0.7898 0.7535 0.0363  2 V 1.92, 2 Li 2.01-2.14
F: 0.2346 0.2259 0.4913  3 Li 1.94-2.03, 1 V 2.03
F: 0.2346 0.7433 0.0087  3 Li 1.94-2.03, 1 V 2.03
F: 0.7654 0.2567 0.9913  3 Li 1.94-2.03, 1 V 2.03
F: 0.7654 0.7741 0.5087  3 Li 1.94-2.03, 1 V 2.03

No. 2
Here is a relaxed structure of Li5Fe8B8O24 from the Materials Project. Energies are from PBE with a Hubbard U.

Results
- theoretical density (g/cm3) = 3.3
- energy of formation from the pure elements (eV/f.u.) = -102.764
- crystal system = triclinic
- corrected total energy (MP2020 scheme) (eV per atom) = -7.828
- raw total energy (eV per atom) = -7.060
- energy relative to the lowest polymorph listed for this composition (eV per atom) = 0.008
- SG = P1, No. 1

a b c (Å): 5.2175 9.0913 10.2469
angles (deg): 88.94 89.65 89.91
With the nearest neighbours (Å) after each atom.
Fractional positions:
Li: 0.0000 0.0000 0.0000  3 O 1.90-2.04
Li: 0.0153 0.9898 0.5113  4 O 2.03-2.11
Li: 0.3332 0.3480 0.2586  3 O 1.88-1.98
Li: 0.3613 0.3420 0.7574  4 O 1.98-2.07
Li: 0.8241 0.8408 0.2440  3 O 1.93-2.01
Fe: 0.0007 0.6528 0.4686  5 O 1.94-2.05
Fe: 0.3399 0.0130 0.2251  5 O 2.02-2.24
Fe: 0.3478 0.6813 0.7184  5 O 1.95-2.07
Fe: 0.5069 0.1782 0.4788  3 O 1.93-2.10
Fe: 0.5104 0.8243 0.9710  4 O 2.01-2.24
Fe: 0.8218 0.5089 0.2188  4 O 1.96-2.16
Fe: 0.8547 0.1621 0.7254  3 O 1.95-2.12
Fe: 0.9976 0.3400 0.9743  5 O 1.92-2.10
B: 0.0039 0.3311 0.4648  3 O 1.36-1.41
B: 0.0183 0.6719 0.9684  3 O 1.37-1.40
B: 0.3357 0.6720 0.2264  3 O 1.35-1.42
B: 0.3452 0.0039 0.7179  3 O 1.37-1.40
B: 0.4959 0.1643 0.9682  3 O 1.37-1.42
B: 0.4999 0.8376 0.4698  3 O 1.39-1.40
B: 0.8377 0.1719 0.2124  3 O 1.38-1.42
B: 0.8444 0.5025 0.7205  3 O 1.37-1.40
O: 0.0787 0.6816 0.2732  1 B 1.42
O: 0.0848 0.9952 0.7061  1 B 1.37
O: 0.2596 0.6678 0.9084  1 B 1.40
O: 0.2614 0.3337 0.4464  1 B 1.36
O: 0.3505 0.2887 0.9478  1 B 1.37
O: 0.3517 0.7205 0.5191  1 B 1.40
O: 0.3738 0.9671 0.4363  1 B 1.39
O: 0.3817 0.0342 0.0082  1 B 1.38
O: 0.4499 0.5389 0.2187  1 B 1.35
O: 0.4623 0.8004 0.1877  1 B 1.39
O: 0.4707 0.1384 0.6939  1 B 1.40
O: 0.4848 0.8768 0.7501  1 B 1.40
O: 0.5834 0.5146 0.7237  1 B 1.37
O: 0.5848 0.1853 0.2514  1 B 1.38
O: 0.7633 0.8226 0.4534  1 B 1.39
O: 0.7643 0.1691 0.9458  1 B 1.42
O: 0.8648 0.4593 0.4328  1 B 1.41
O: 0.8812 0.2037 0.5113  1 B 1.40
O: 0.8923 0.8016 0.9880  1 B 1.37
O: 0.9138 0.5397 0.0142  1 B 1.39
O: 0.9562 0.0360 0.2076  1 B 1.38
O: 0.9712 0.3781 0.7720  1 B 1.40
O: 0.9772 0.2993 0.1745  1 B 1.42
O: 0.9975 0.6132 0.6646  1 B 1.40

No. 3
Here is a relaxed structure of KV3Ge2O9 from the Materials Project. Energies are from PBE with a Hubbard U.

Results
- theoretical density (g/cm3) = 3.7
- energy of formation from the pure elements (eV/f.u.) = -35.701
- crystal system = monoclinic
- corrected total energy (MP2020 scheme) (eV per atom) = -7.856
- raw total energy (eV per atom) = -7.104
- SG = C2/c, No. 15

a b c (Å): 5.9865 5.9865 13.8108
angles (deg): 90.08 90.08 120.00
With the nearest neighbours (Å) after each atom.
Fractional positions:
K: 0.1667 0.8333 0.7500  6 O 2.85-2.86
K: 0.8333 0.1667 0.2500  6 O 2.85-2.86
V: 0.0000 0.0000 0.0000  6 O 1.96-2.11
V: 0.0000 0.0000 0.5000  6 O 1.96-2.11
V: 0.0000 0.5000 0.0000  6 O 1.96-2.11
V: 0.0000 0.5000 0.5000  6 O 1.97-2.10
V: 0.5000 0.0000 0.0000  6 O 1.97-2.10
V: 0.5000 0.0000 0.5000  6 O 1.96-2.11
Ge: 0.5001 0.5002 0.1225  4 O 1.76-1.79
Ge: 0.4998 0.4999 0.3775  4 O 1.76-1.79
Ge: 0.5002 0.5001 0.6225  4 O 1.76-1.79
Ge: 0.4999 0.4998 0.8775  4 O 1.76-1.79
O: 0.1654 0.8329 0.0680  3 V 1.96-1.97
O: 0.1671 0.8346 0.4320  3 V 1.96-1.97
O: 0.1690 0.3346 0.0857  1 Ge 1.79
O: 0.1699 0.3363 0.4139  1 Ge 1.78
O: 0.3338 0.6639 0.5861  1 Ge 1.78
O: 0.3346 0.1690 0.5857  1 Ge 1.79
O: 0.3363 0.1699 0.9139  1 Ge 1.78
O: 0.3361 0.6662 0.9139  1 Ge 1.78
O: 0.4998 0.5002 0.2500  2 Ge 1.76
O: 0.5002 0.4998 0.7500  2 Ge 1.76
O: 0.6639 0.3338 0.0861  1 Ge 1.78
O: 0.6637 0.8301 0.0861  1 Ge 1.78
O: 0.6654 0.8310 0.4143  1 Ge 1.79
O: 0.6662 0.3361 0.4139  1 Ge 1.78
O: 0.8301 0.6637 0.5861  1 Ge 1.78
O: 0.8310 0.6654 0.9143  1 Ge 1.79
O: 0.8329 0.1654 0.5680  3 V 1.96-1.97
O: 0.8346 0.1671 0.9320  3 V 1.96-1.97

No. 4
Here is a relaxed structure of MgV3CoSn2P6O24 from the Materials Project. Energies are from PBE with a Hubbard U.

Results
- theoretical density (g/cm3) = 3.5
- energy of formation from the pure elements (eV/f.u.) = -91.909
- crystal system = triclinic
- corrected total energy (MP2020 scheme) (eV per atom) = -7.760
- raw total energy (eV per atom) = -7.132
- energy relative to the lowest polymorph listed for this composition (eV per atom) = 0.051
- SG = P1, No. 1

a b c (Å): 8.4809 8.5122 9.2235
angles (deg): 116.50 90.59 119.53
With the nearest neighbours (Å) after each atom.
Fractional positions:
Mg: 0.0000 0.0000 0.0000  4 O 2.01-2.04
V: 0.0329 0.8319 0.2738  6 O 1.87-2.08
V: 0.2442 0.2549 0.8733  6 O 1.96-2.15
V: 0.7196 0.2359 0.3703  6 O 1.95-2.13
Co: 0.5529 0.8750 0.8019  5 O 2.00-2.21
Sn: 0.4128 0.5812 0.4007  3 O 2.19-2.24
Sn: 0.8661 0.4490 0.7734  3 O 2.23-2.49
P: 0.1295 0.3152 0.5660  4 O 1.53-1.57
P: 0.3445 0.0396 0.0782  4 O 1.52-1.60
P: 0.4156 0.0317 0.5684  4 O 1.51-1.57
P: 0.6439 0.7654 0.0864  4 O 1.52-1.59
P: 0.8530 0.7511 0.5881  4 O 1.53-1.57
P: 0.9191 0.3362 0.0745  4 O 1.53-1.57
O: 0.0063 0.5658 0.1184  1 P 1.55
O: 0.0120 0.9309 0.7596  1 P 1.56
O: 0.0733 0.2839 0.0419  1 P 1.57
O: 0.0914 0.1226 0.4011  1 P 1.53
O: 0.1162 0.2910 0.7224  1 P 1.54
O: 0.1392 0.9149 0.0994  1 P 1.60
O: 0.2704 0.9253 0.3976  1 P 1.55
O: 0.3193 0.1762 0.0239  1 P 1.55
O: 0.3253 0.5113 0.6010  1 P 1.56
O: 0.3780 0.8822 0.9449  1 P 1.52
O: 0.3940 0.1832 0.7198  1 P 1.51
O: 0.4054 0.8557 0.5896  1 P 1.56
O: 0.4536 0.5545 0.0059  1 P 1.52
O: 0.4923 0.1903 0.2548  1 P 1.54
O: 0.6166 0.1644 0.5519  1 P 1.57
O: 0.6389 0.9332 0.2413  1 P 1.52
O: 0.6814 0.7769 0.6008  1 P 1.57
O: 0.7165 0.8374 0.9575  1 P 1.57
O: 0.7524 0.1913 0.9090  1 P 1.55
O: 0.7914 0.5370 0.5691  1 P 1.55
O: 0.7987 0.7356 0.1447  1 P 1.59
O: 0.8679 0.3126 0.2252  1 P 1.53
O: 0.9153 0.7594 0.4356  1 P 1.53
O: 0.9693 0.3518 0.5428  1 P 1.57

No. 5
Here is a relaxed structure of Na2U2FeH8C12O28 from the Materials Project. Energies are from PBE with a Hubbard U.

Results
- theoretical density (g/cm3) = 3.2
- energy of formation from the pure elements (eV/f.u.) = -93.760
- crystal system = triclinic
- corrected total energy (MP2020 scheme) (eV per atom) = -7.620
- raw total energy (eV per atom) = -7.215
- SG = P-1, No. 2

a b c (Å): 6.5468 7.9754 13.0315
angles (deg): 75.63 84.52 67.81
With the nearest neighbours (Å) after each atom.
Fractional positions:
Na: 0.2504 0.1630 0.2074  5 O 2.37-2.48
Na: 0.7496 0.8370 0.7926  5 O 2.37-2.48
U: 0.2364 0.6620 0.1961  10 O 2.35-2.56
U: 0.7636 0.3380 0.8039  10 O 2.35-2.56
Fe: 0.5000 0.0000 0.5000  6 O 2.14-2.20
H: 0.0807 0.1497 0.4260  1 O 1.00
H: 0.1829 0.9440 0.4043  1 O 0.99
H: 0.2584 0.0199 0.6895  1 O 0.99
H: 0.3455 0.8073 0.6805  1 O 0.98
H: 0.6545 0.1927 0.3195  1 O 0.98
H: 0.7416 0.9801 0.3105  1 O 0.99
H: 0.8171 0.0560 0.5957  1 O 0.99
H: 0.9193 0.8503 0.5740  1 O 1.00
C: 0.0263 0.0670 0.0251  2 O 1.26-1.28
C: 0.1949 0.6170 0.4542  2 O 1.24-1.30
C: 0.2164 0.4551 0.7813  2 O 1.27
C: 0.2992 0.4156 0.4385  2 O 1.25-1.28
C: 0.3105 0.2515 0.7747  2 O 1.26-1.27
C: 0.4756 0.4107 0.0214  2 O 1.26-1.27
C: 0.5244 0.5893 0.9786  2 O 1.26-1.27
C: 0.6895 0.7485 0.2253  2 O 1.26-1.27
C: 0.7008 0.5844 0.5615  2 O 1.25-1.28
C: 0.7836 0.5449 0.2187  2 O 1.27
C: 0.8051 0.3830 0.5458  2 O 1.24-1.30
C: 0.9737 0.9330 0.9749  2 O 1.26-1.28
O: 0.0089 0.5273 0.7907  1 C 1.27
O: 0.0173 0.7685 0.0276  1 C 1.26
O: 0.1119 0.9986 0.1174  1 C 1.28
O: 0.1382 0.6477 0.5432  1 C 1.24
O: 0.1710 0.1789 0.7674  1 C 1.27
O: 0.1769 0.7416 0.3661  1 C 1.30
O: 0.2152 0.0570 0.4017  2 H 0.99-1.00
O: 0.3155 0.4044 0.3412  1 C 1.28
O: 0.3171 0.9350 0.6403  2 H 0.98-0.99
O: 0.3539 0.5336 0.7763  1 C 1.27
O: 0.3600 0.2815 0.5169  1 C 1.25
O: 0.3676 0.4020 0.1078  1 C 1.27
O: 0.4560 0.7124 0.0315  1 C 1.26
O: 0.4819 0.8290 0.2241  1 C 1.26
O: 0.5181 0.1710 0.7759  1 C 1.26
O: 0.5440 0.2876 0.9685  1 C 1.26
O: 0.6324 0.5980 0.8922  1 C 1.27
O: 0.6400 0.7185 0.4831  1 C 1.25
O: 0.6461 0.4664 0.2237  1 C 1.27
O: 0.6829 0.0650 0.3597  2 H 0.98-0.99
O: 0.6845 0.5956 0.6588  1 C 1.28
O: 0.7848 0.9430 0.5983  2 H 0.99-1.00
O: 0.8231 0.2584 0.6339  1 C 1.30
O: 0.8290 0.8211 0.2326  1 C 1.27
O: 0.8618 0.3523 0.4568  1 C 1.24
O: 0.8881 0.0014 0.8826  1 C 1.28
O: 0.9827 0.2315 0.9724  1 C 1.26
O: 0.9911 0.4727 0.2093  1 C 1.27